K10In5Sb9: relaxed, PBE-GGA. Values from VASP.

Output
- E_form: -455.8 meV/atom
- Total moment: 0.1 μB per formula unit

Cell and atoms, written as Quantum ESPRESSO input:
```
&SYSTEM
  ibrav = 0, nat = 96, ntyp = 3
/
ATOMIC_SPECIES
Sb 121.76 Sb.upf
In 114.82 In.upf
K 39.10 K.upf
ATOMIC_POSITIONS crystal
Sb 0.068 0.398 0.121
Sb 0.932 0.602 0.879
Sb 0.482 0.038 0.825
Sb 0.124 0.655 0.647
Sb 0.624 0.345 0.853
Sb 0.361 0.369 0.378
Sb 0.568 0.602 0.379
Sb 0.139 0.369 0.878
Sb 0.639 0.631 0.622
Sb 0.123 0.177 0.746
Sb 0.334 0.588 0.899
Sb 0.623 0.823 0.754
Sb 0.377 0.873 0.446
Sb 0.861 0.631 0.122
Sb 0.877 0.127 0.054
Sb 0.125 0.099 0.556
Sb 0.666 0.412 0.101
Sb 0.432 0.398 0.621
Sb 0.982 0.962 0.675
Sb 0.123 0.873 0.946
Sb 0.834 0.412 0.601
Sb 0.166 0.588 0.399
Sb 0.375 0.099 0.056
Sb 0.377 0.177 0.246
Sb 0.770 0.034 0.823
Sb 0.623 0.127 0.554
Sb 0.376 0.655 0.147
Sb 0.875 0.901 0.444
Sb 0.018 0.038 0.325
Sb 0.230 0.966 0.177
Sb 0.270 0.966 0.677
Sb 0.730 0.034 0.323
Sb 0.518 0.962 0.175
Sb 0.877 0.823 0.254
Sb 0.876 0.345 0.353
Sb 0.625 0.901 0.944
In 0.222 0.533 0.276
In 0.722 0.467 0.224
In 0.501 0.008 0.307
In 0.869 0.508 0.052
In 0.520 0.520 0.271
In 0.020 0.480 0.229
In 0.480 0.480 0.729
In 0.778 0.467 0.724
In 0.131 0.492 0.948
In 0.749 0.988 0.190
In 0.999 0.008 0.807
In 0.249 0.012 0.310
In 0.499 0.992 0.693
In 0.751 0.988 0.690
In 0.369 0.492 0.448
In 0.251 0.012 0.810
In 0.278 0.533 0.776
In 0.631 0.508 0.552
In 0.980 0.520 0.771
In 0.001 0.992 0.193
K 0.140 0.636 0.035
K 0.597 0.643 0.024
K 0.406 0.752 0.677
K 0.353 0.208 0.605
K 0.647 0.792 0.395
K 0.390 0.800 0.890
K 0.903 0.643 0.524
K 0.853 0.792 0.895
K 0.594 0.248 0.323
K 0.134 0.754 0.786
K 0.110 0.800 0.390
K 0.906 0.248 0.823
K 0.864 0.562 0.357
K 0.351 0.240 0.827
K 0.640 0.364 0.465
K 0.867 0.096 0.464
K 0.360 0.636 0.535
K 0.634 0.246 0.714
K 0.094 0.752 0.177
K 0.380 0.080 0.467
K 0.147 0.208 0.105
K 0.866 0.246 0.214
K 0.636 0.562 0.857
K 0.880 0.920 0.033
K 0.633 0.096 0.964
K 0.890 0.200 0.610
K 0.097 0.357 0.476
K 0.120 0.080 0.967
K 0.133 0.904 0.536
K 0.649 0.760 0.173
K 0.364 0.438 0.143
K 0.136 0.438 0.643
K 0.403 0.357 0.976
K 0.851 0.760 0.673
K 0.620 0.920 0.533
K 0.610 0.200 0.110
K 0.366 0.754 0.286
K 0.367 0.904 0.036
K 0.860 0.364 0.965
K 0.149 0.240 0.327
CELL_PARAMETERS angstrom
-8.142 0.834 9.494
6.878 -13.931 7.121
14.390 1.536 12.205
```